A plane-wave DFT calculation with GGA-PBE was carried out for a relaxed UTeSe crystal.

As for the energy above the most stable polymorph in this dataset: 0 meV/atom. For the total energy, the calculation gives -20.7 eV/f.u. Its energy relative to the elements is -1077 meV/atom.

It has space group Pnma (No. 62), with a = 7.860 Å, b = 4.270 Å, c = 9.245 Å, α = 90.00°, β = 90.00° and γ = 90.00°. The distinct sites, in fractional coordinates, are U at (0.220, 0.250, 0.129), Te at (0.031, 0.750, 0.341) and Se at (0.145, 0.750, 0.929).